First-principles (GGA-PBE) data for an optimized crystal structure of SrGeO3, as listed in the Materials Project database.

* E_tot: -32.814 eV per formula unit

Geometry as extended XYZ:
```
30
Lattice="6.366 -3.685 0.000 6.366 3.685 0.000 -4.152 0.000 10.586" Properties=species:S:1:pos:R:3 pbc="T T T"
Sr 3.183 1.843 0.000
Sr 3.187 1.900 5.300
Sr 3.315 1.900 10.579
Sr 1.107 -1.843 5.293
Sr 5.263 -1.900 0.007
Sr 5.391 -1.900 5.286
Ge 5.327 2.526 2.646
Ge 1.589 0.350 7.978
Ge 3.665 -0.350 2.685
Ge 4.913 0.350 7.900
Ge 6.989 -0.350 2.608
Ge 3.251 -2.526 7.939
O 5.302 3.228 1.067
O 5.353 3.228 4.226
O 0.961 0.707 6.405
O 3.836 1.469 2.662
O 1.014 0.690 9.578
O 3.251 1.114 7.939
O 3.037 -0.707 1.113
O 6.819 1.469 2.631
O 3.090 -0.690 4.286
O 5.489 0.690 6.300
O 1.760 -1.469 7.955
O 5.541 0.707 9.473
O 5.327 -1.114 2.646
O 7.565 -0.690 1.007
O 4.742 -1.469 7.923
O 7.617 -0.707 4.180
O 3.226 -3.228 6.360
O 3.277 -3.228 9.519
```